# MgV2Cu2O8 GGA+U relaxed
# - Magnetization: 8.0 μB per cell
# - Offset from the most stable computed form: 0.000 eV/atom
# - Calculated density: 3.926 g cm⁻³
data_MgV2Cu2O8
_chemical_formula_sum 'Mg4 V8 Cu8 O32'
_cell_length_a 6.516
_cell_length_b 8.359
_cell_length_c 11.841
_cell_angle_alpha 90.00
_cell_angle_beta 90.40
_cell_angle_gamma 90.00
_space_group_name_H-M_alt 'P 1 21/c 1'
_space_group_IT_number 14
loop_
_space_group_symop_operation_xyz
'x,y,z'
'-x,-y,-z'
'-x,y+1/2,-z+1/2'
'x,-y+1/2,z+1/2'
loop_
_atom_site_label
_atom_site_fract_x
_atom_site_fract_y
_atom_site_fract_z
Mg1 0.112 0.162 0.050
V1 0.103 0.040 0.346
V2 0.391 0.587 0.367
Cu1 0.236 0.685 0.627
Cu2 0.377 0.057 0.627
O1 0.037 0.233 0.396
O2 0.084 0.106 0.615
O3 0.122 0.039 0.201
O4 0.189 0.575 0.470
O5 0.313 0.631 0.225
O6 0.338 0.512 0.903
O7 0.420 0.218 0.086
O8 0.494 0.100 0.861